Record 1
Entry from Materials Project: a relaxed V2NiP crystal (PBE).

Results
Its spin magnetization is 0.0 μB per cell. The density is 6.63 g cm⁻³. Its energy of formation from the pure elements is -1.70 eV per formula unit.

Lattice parameters (Å, degrees): 3.539 3.539 3.828 90.00 90.00 90.00
Atoms (fractional coordinates):
1 V 0.000 0.500 0.000
2 V 0.500 0.000 0.000
3 Ni 0.000 0.000 0.500
4 P 0.500 0.500 0.500

***

Record 2
Entry from Materials Project: a relaxed NiPW crystal (PBE).

Results
Its spin magnetization is 0.0 μB per cell. The density is 12.20 g cm⁻³. Its energy of formation from the pure elements is -1.05 eV per formula unit.

Lattice parameters (Å, degrees): 5.835 5.835 3.786 90.00 90.00 120.00
Atoms (fractional coordinates):
1 Ni 0.000 0.747 0.000
2 Ni 0.253 0.253 0.000
3 Ni 0.747 0.000 0.000
4 P 0.000 0.000 0.500
5 P 0.333 0.667 0.000
6 P 0.667 0.333 0.000
7 W 0.000 0.415 0.500
8 W 0.415 0.000 0.500
9 W 0.585 0.585 0.500

***

Record 3
Entry from Materials Project: a relaxed Ni4P16W crystal (PBE).

Results
Its spin magnetization is 0.0 μB per cell. The density is 4.94 g cm⁻³. Its energy of formation from the pure elements is -5.84 eV per formula unit.

Lattice parameters (Å, degrees): 10.245 10.245 11.162 100.51 100.51 32.28
Atoms (fractional coordinates):
1 Ni 0.012 0.200 0.074
2 Ni 0.195 0.305 0.372
3 Ni 0.200 0.012 0.574
4 Ni 0.305 0.195 0.872
5 Ni 0.695 0.805 0.128
6 Ni 0.800 0.988 0.426
7 Ni 0.805 0.695 0.628
8 Ni 0.988 0.800 0.926
9 P 0.009 0.114 0.868
10 P 0.015 0.267 0.280
11 P 0.114 0.009 0.368
12 P 0.116 0.441 0.188
13 P 0.147 0.279 0.554
14 P 0.220 0.656 0.420
15 P 0.259 0.733 0.893
16 P 0.267 0.015 0.780
17 P 0.267 0.741 0.607
18 P 0.279 0.147 0.054
19 P 0.319 0.397 0.957
20 P 0.344 0.780 0.080
21 P 0.374 0.384 0.661
22 P 0.384 0.374 0.161
23 P 0.397 0.319 0.457
24 P 0.441 0.116 0.688
25 P 0.559 0.884 0.312
26 P 0.603 0.681 0.543
27 P 0.616 0.626 0.839
28 P 0.626 0.616 0.339
29 P 0.656 0.220 0.920
30 P 0.681 0.603 0.043
31 P 0.721 0.853 0.946
32 P 0.733 0.259 0.393
33 P 0.733 0.985 0.220
34 P 0.741 0.267 0.107
35 P 0.780 0.344 0.580
36 P 0.853 0.721 0.446
37 P 0.884 0.559 0.812
38 P 0.886 0.991 0.632
39 P 0.985 0.733 0.720
40 P 0.991 0.886 0.132
41 W 0.395 0.605 0.250
42 W 0.605 0.395 0.750

***

Record 4
Entry from Materials Project: a relaxed YNiP crystal (PBE).

Results
Its spin magnetization is 0.0 μB per cell. The density is 5.78 g cm⁻³. Its energy of formation from the pure elements is -2.11 eV per formula unit.

Lattice parameters (Å, degrees): 5.306 5.306 11.709 90.00 90.00 141.48
Atoms (fractional coordinates):
1 Y 0.196 0.804 0.613
2 Y 0.196 0.804 0.887
3 Y 0.804 0.196 0.113
4 Y 0.804 0.196 0.387
5 Ni 0.476 0.524 0.750
6 Ni 0.500 0.500 0.000
7 Ni 0.500 0.500 0.500
8 Ni 0.524 0.476 0.250
9 P 0.086 0.914 0.117
10 P 0.086 0.914 0.383
11 P 0.914 0.086 0.617
12 P 0.914 0.086 0.883

***

Record 5
Entry from Materials Project: a relaxed Y2Ni12P7 crystal (PBE).

Results
Its spin magnetization is 0.0 μB per cell. The density is 7.06 g cm⁻³. Its energy of formation from the pure elements is -16.12 eV per formula unit.

Lattice parameters (Å, degrees): 9.019 9.019 3.670 90.00 90.00 120.00
Atoms (fractional coordinates):
1 Y 0.000 0.000 0.000
2 Y 0.333 0.667 0.500
3 Ni 0.041 0.767 0.500
4 Ni 0.097 0.382 0.000
5 Ni 0.233 0.273 0.500
6 Ni 0.285 0.903 0.000
7 Ni 0.449 0.239 0.000
8 Ni 0.515 0.060 0.500
9 Ni 0.545 0.485 0.500
10 Ni 0.618 0.715 0.000
11 Ni 0.727 0.959 0.500
12 Ni 0.761 0.211 0.000
13 Ni 0.789 0.551 0.000
14 Ni 0.940 0.455 0.500
15 P 0.072 0.628 0.000
16 P 0.260 0.040 0.500
17 P 0.372 0.444 0.000
18 P 0.556 0.928 0.000
19 P 0.667 0.333 0.500
20 P 0.780 0.740 0.500
21 P 0.960 0.220 0.500

***

Record 6
Entry from Materials Project: a relaxed YNiP crystal (PBE).

Results
The density is 5.76 g cm⁻³. Its energy of formation from the pure elements is -3.66 eV per formula unit.

Lattice parameters (Å, degrees): 3.907 3.907 15.585 90.00 90.00 120.00
Atoms (fractional coordinates):
1 Y 0.000 0.000 0.000
2 Y 0.000 0.000 0.250
3 Y 0.000 0.000 0.500
4 Y 0.000 0.000 0.750
5 Ni 0.333 0.667 0.127
6 Ni 0.333 0.667 0.373
7 Ni 0.667 0.333 0.627
8 Ni 0.667 0.333 0.873
9 P 0.333 0.667 0.622
10 P 0.333 0.667 0.878
11 P 0.667 0.333 0.122
12 P 0.667 0.333 0.378

***

Record 7
Entry from Materials Project: a relaxed YNi4P2 crystal (PBE).

Results
The density is 7.10 g cm⁻³. Its energy of formation from the pure elements is -5.78 eV per formula unit.

Lattice parameters (Å, degrees): 7.084 7.084 3.593 90.00 90.00 90.00
Atoms (fractional coordinates):
1 Y 0.000 0.000 0.000
2 Y 0.500 0.500 0.500
3 Ni 0.085 0.337 0.500
4 Ni 0.163 0.585 0.000
5 Ni 0.337 0.085 0.500
6 Ni 0.415 0.837 0.000
7 Ni 0.585 0.163 0.000
8 Ni 0.663 0.915 0.500
9 Ni 0.837 0.415 0.000
10 Ni 0.915 0.663 0.500
11 P 0.221 0.779 0.500
12 P 0.279 0.279 0.000
13 P 0.721 0.721 0.000
14 P 0.779 0.221 0.500

***

Record 8
Entry from Materials Project: a relaxed Y6Ni20P13 crystal (PBE).

Results
Its spin magnetization is 0.1 μB per cell. The density is 6.74 g cm⁻³. Its energy of formation from the pure elements is -35.60 eV per formula unit.

Lattice parameters (Å, degrees): 12.648 12.648 3.755 90.00 90.00 120.00
Atoms (fractional coordinates):
1 Y 0.051 0.196 0.000
2 Y 0.145 0.949 0.000
3 Y 0.521 0.385 0.500
4 Y 0.615 0.136 0.500
5 Y 0.804 0.855 0.000
6 Y 0.864 0.479 0.500
7 Ni 0.000 0.000 0.500
8 Ni 0.013 0.424 0.000
9 Ni 0.087 0.738 0.500
10 Ni 0.181 0.594 0.500
11 Ni 0.228 0.471 0.000
12 Ni 0.243 0.772 0.000
13 Ni 0.262 0.350 0.500
14 Ni 0.312 0.229 0.000
15 Ni 0.355 0.102 0.500
16 Ni 0.406 0.587 0.500
17 Ni 0.411 0.987 0.000
18 Ni 0.413 0.819 0.500
19 Ni 0.529 0.757 0.000
20 Ni 0.576 0.589 0.000
21 Ni 0.650 0.913 0.500
22 Ni 0.667 0.333 0.000
23 Ni 0.747 0.645 0.500
24 Ni 0.771 0.083 0.000
25 Ni 0.898 0.253 0.500
26 Ni 0.917 0.688 0.000
27 P 0.051 0.619 0.000
28 P 0.101 0.388 0.500
29 P 0.196 0.143 0.500
30 P 0.287 0.899 0.500
31 P 0.333 0.667 0.000
32 P 0.381 0.432 0.000
33 P 0.471 0.190 0.000
34 P 0.568 0.949 0.000
35 P 0.612 0.713 0.500
36 P 0.719 0.529 0.000
37 P 0.810 0.281 0.000
38 P 0.857 0.053 0.500
39 P 0.947 0.804 0.500

***

Record 9
Entry from Materials Project: a relaxed ZnNi10P3 crystal (PBE).

Results
Its spin magnetization is 0.0 μB per cell. The density is 7.84 g cm⁻³. Its energy of formation from the pure elements is -5.96 eV per formula unit.

Lattice parameters (Å, degrees): 7.649 7.649 9.344 90.00 90.00 120.00
Atoms (fractional coordinates):
1 Zn 0.000 0.000 0.000
2 Zn 0.333 0.667 0.640
3 Zn 0.667 0.333 0.360
4 Ni 0.000 0.000 0.379
5 Ni 0.000 0.000 0.621
6 Ni 0.000 0.341 0.500
7 Ni 0.000 0.659 0.500
8 Ni 0.017 0.509 0.241
9 Ni 0.140 0.280 0.795
10 Ni 0.140 0.860 0.795
11 Ni 0.183 0.365 0.066
12 Ni 0.183 0.817 0.066
13 Ni 0.280 0.140 0.205
14 Ni 0.333 0.667 0.386
15 Ni 0.333 0.667 0.903
16 Ni 0.341 0.000 0.500
17 Ni 0.341 0.341 0.500
18 Ni 0.365 0.183 0.934
19 Ni 0.491 0.509 0.241
20 Ni 0.491 0.983 0.241
21 Ni 0.509 0.017 0.759
22 Ni 0.509 0.491 0.759
23 Ni 0.635 0.817 0.066
24 Ni 0.659 0.000 0.500
25 Ni 0.659 0.659 0.500
26 Ni 0.667 0.333 0.097
27 Ni 0.667 0.333 0.614
28 Ni 0.720 0.860 0.795
29 Ni 0.817 0.183 0.934
30 Ni 0.817 0.635 0.934
31 Ni 0.860 0.140 0.205
32 Ni 0.860 0.720 0.205
33 Ni 0.983 0.491 0.759
34 P 0.000 0.500 0.000
35 P 0.165 0.330 0.309
36 P 0.165 0.835 0.309
37 P 0.330 0.165 0.691
38 P 0.500 0.000 0.000
39 P 0.500 0.500 0.000
40 P 0.670 0.835 0.309
41 P 0.835 0.165 0.691
42 P 0.835 0.670 0.691

***

Record 10
Entry from Materials Project: a relaxed ZrNiP crystal (PBE).

Results
Its spin magnetization is 0.0 μB per cell. The density is 6.47 g cm⁻³. Its energy of formation from the pure elements is -1.80 eV per formula unit.

Lattice parameters (Å, degrees): 4.536 4.536 5.211 90.00 90.00 120.00
Atoms (fractional coordinates):
1 Zr 0.333 0.667 0.250
2 Zr 0.667 0.333 0.750
3 Ni 0.000 0.000 0.000
4 Ni 0.000 0.000 0.500
5 P 0.333 0.667 0.750
6 P 0.667 0.333 0.250

***

Record 11
Entry from Materials Project: a relaxed ZrNi4P2 crystal (PBE).

Results
The density is 7.49 g cm⁻³. Its energy of formation from the pure elements is -5.64 eV per formula unit.

Lattice parameters (Å, degrees): 6.928 6.928 3.583 90.00 90.00 90.00
Atoms (fractional coordinates):
1 Zr 0.000 0.000 0.000
2 Zr 0.500 0.500 0.500
3 Ni 0.085 0.335 0.500
4 Ni 0.165 0.585 0.000
5 Ni 0.335 0.085 0.500
6 Ni 0.415 0.835 0.000
7 Ni 0.585 0.165 0.000
8 Ni 0.665 0.915 0.500
9 Ni 0.835 0.415 0.000
10 Ni 0.915 0.665 0.500
11 P 0.220 0.780 0.500
12 P 0.280 0.280 0.000
13 P 0.720 0.720 0.000
14 P 0.780 0.220 0.500

***

Record 12
Entry from Materials Project: a relaxed Zr2Ni12P7 crystal (PBE).

Results
The density is 7.28 g cm⁻³. Its energy of formation from the pure elements is -15.50 eV per formula unit.

Lattice parameters (Å, degrees): 8.999 8.999 3.587 90.00 90.00 120.00
Atoms (fractional coordinates):
1 Zr 0.000 0.000 0.000
2 Zr 0.333 0.667 0.500
3 Ni 0.055 0.286 0.500
4 Ni 0.100 0.706 0.000
5 Ni 0.232 0.945 0.500
6 Ni 0.294 0.394 0.000
7 Ni 0.390 0.176 0.000
8 Ni 0.538 0.424 0.500
9 Ni 0.576 0.114 0.500
10 Ni 0.606 0.900 0.000
11 Ni 0.714 0.768 0.500
12 Ni 0.786 0.610 0.000
13 Ni 0.824 0.214 0.000
14 Ni 0.886 0.462 0.500
15 P 0.080 0.453 0.000
16 P 0.256 0.213 0.500
17 P 0.373 0.920 0.000
18 P 0.547 0.627 0.000
19 P 0.667 0.333 0.000
20 P 0.787 0.042 0.500
21 P 0.958 0.744 0.500

***

Record 13
Entry from Materials Project: a relaxed Zr2Ni3P3 crystal (PBE).

Results
The density is 6.64 g cm⁻³. Its energy of formation from the pure elements is -8.39 eV per formula unit.

Lattice parameters (Å, degrees): 12.364 3.629 10.060 90.00 90.00 90.00
Atoms (fractional coordinates):
1 Zr 0.005 0.250 0.163
2 Zr 0.209 0.750 0.575
3 Zr 0.291 0.250 0.075
4 Zr 0.495 0.750 0.663
5 Zr 0.505 0.250 0.337
6 Zr 0.709 0.750 0.925
7 Zr 0.791 0.250 0.425
8 Zr 0.995 0.750 0.837
9 Ni 0.016 0.250 0.596
10 Ni 0.165 0.750 0.274
11 Ni 0.218 0.750 0.865
12 Ni 0.282 0.250 0.365
13 Ni 0.335 0.250 0.774
14 Ni 0.484 0.750 0.096
15 Ni 0.516 0.250 0.904
16 Ni 0.665 0.750 0.226
17 Ni 0.718 0.750 0.635
18 Ni 0.782 0.250 0.135
19 Ni 0.835 0.250 0.726
20 Ni 0.984 0.750 0.404
21 P 0.102 0.250 0.398
22 P 0.129 0.750 0.054
23 P 0.145 0.250 0.763
24 P 0.355 0.750 0.263
25 P 0.371 0.250 0.554
26 P 0.398 0.750 0.898
27 P 0.602 0.250 0.102
28 P 0.629 0.750 0.446
29 P 0.645 0.250 0.737
30 P 0.855 0.750 0.237
31 P 0.871 0.250 0.946
32 P 0.898 0.750 0.602

***

Record 14
Entry from Materials Project: a relaxed ZrNi2P2 crystal (PBE).

Results
Its spin magnetization is 0.0 μB per cell. The density is 6.85 g cm⁻³. Its energy of formation from the pure elements is -4.20 eV per formula unit.

Lattice parameters (Å, degrees): 5.453 5.453 5.453 140.31 140.31 57.38
Atoms (fractional coordinates):
1 Zr 0.000 0.000 0.000
2 Ni 0.250 0.750 0.500
3 Ni 0.750 0.250 0.500
4 P 0.382 0.382 0.000
5 P 0.618 0.618 0.000

***

Record 15
Entry from Materials Project: a relaxed Zr2NiP2 crystal (PBE).

Results
The density is 6.21 g cm⁻³. Its energy of formation from the pure elements is -6.42 eV per formula unit.

Lattice parameters (Å, degrees): 3.777 3.777 13.129 90.00 90.00 120.00
Atoms (fractional coordinates):
1 Zr 0.333 0.667 0.110
2 Zr 0.333 0.667 0.390
3 Zr 0.667 0.333 0.610
4 Zr 0.667 0.333 0.890
5 Ni 0.000 0.000 0.250
6 Ni 0.000 0.000 0.750
7 P 0.000 0.000 0.000
8 P 0.000 0.000 0.500
9 P 0.333 0.667 0.750
10 P 0.667 0.333 0.250

***

Record 16
Entry from Materials Project: a relaxed Zr4NiP crystal (PBE).

Results
Its spin magnetization is 0.0 μB per cell. The density is 6.71 g cm⁻³. Its energy of formation from the pure elements is -3.92 eV per formula unit.

Lattice parameters (Å, degrees): 6.483 6.483 5.355 90.00 90.00 90.00
Atoms (fractional coordinates):
1 Zr 0.161 0.338 0.000
2 Zr 0.161 0.662 0.500
3 Zr 0.338 0.161 0.500
4 Zr 0.338 0.839 0.000
5 Zr 0.662 0.161 0.000
6 Zr 0.662 0.839 0.500
7 Zr 0.839 0.338 0.500
8 Zr 0.839 0.662 0.000
9 Ni 0.000 0.000 0.250
10 Ni 0.000 0.000 0.750
11 P 0.500 0.500 0.250
12 P 0.500 0.500 0.750